Record 1
{
  "formula": "Ba2SnSe5",
  "functional": "PBE-GGA",
  "state": "relaxed",
  "space_group": "P2_1/c (14)",
  "e_above_lowest_polymorph_ev_per_atom": 0.015,
  "formation_enthalpy_0k_kj_per_mol_atoms": -144.4,
  "vol_a3_per_cell": 1018.9,
  "lattice": [[9.5362, 0.0000, 0.0000], [0.0000, 9.0713, 0.0000], [-4.9405, 0.0000, 11.7786]],
  "species": ["Ba", "Ba", "Ba", "Ba", "Ba", "Ba", "Ba", "Ba", "Sn", "Sn", "Sn", "Sn", "Se", "Se", "Se", "Se", "Se", "Se", "Se", "Se", "Se", "Se", "Se", "Se", "Se", "Se", "Se", "Se", "Se", "Se", "Se", "Se"],
  "frac_coords": [[0.0366, 0.1262, 0.3461], [0.0366, 0.3738, 0.8461], [0.4208, 0.1370, 0.1764], [0.4208, 0.3630, 0.6764], [0.5792, 0.6370, 0.3236], [0.5792, 0.8630, 0.8236], [0.9634, 0.6262, 0.1539], [0.9634, 0.8738, 0.6539], [0.3376, 0.7067, 0.9823], [0.3376, 0.7933, 0.4823], [0.6624, 0.2067, 0.5177], [0.6624, 0.2933, 0.0177], [0.0589, 0.2404, 0.5998], [0.0589, 0.2596, 0.0998], [0.1403, 0.5756, 0.4431], [0.1403, 0.9244, 0.9431], [0.2638, 0.6272, 0.7763], [0.2638, 0.8728, 0.2763], [0.2842, 0.5082, 0.1042], [0.2842, 0.9918, 0.6042], [0.4027, 0.1782, 0.9040], [0.4027, 0.3218, 0.4040], [0.5973, 0.6782, 0.5960], [0.5973, 0.8218, 0.0960], [0.7158, 0.0082, 0.3958], [0.7158, 0.4918, 0.8958], [0.7362, 0.1272, 0.7237], [0.7362, 0.3728, 0.2237], [0.8597, 0.0756, 0.0569], [0.8597, 0.4244, 0.5569], [0.9411, 0.7404, 0.9002], [0.9411, 0.7596, 0.4002]]
}


Record 2
{
  "formula": "MgNbBi3O7",
  "functional": "PBE-GGA",
  "state": "relaxed",
  "space_group": "P1 (1)",
  "e_above_lowest_polymorph_ev_per_atom": 0.005,
  "formation_enthalpy_0k_kj_per_mol_atoms": -197.0,
  "vol_a3_per_cell": 184.6,
  "lattice": [[3.6533, 0.0000, 0.0000], [-1.7913, 3.1891, 0.0000], [-0.0014, -2.0942, 15.8461]],
  "species": ["Mg", "Nb", "Bi", "Bi", "Bi", "O", "O", "O", "O", "O", "O", "O"],
  "frac_coords": [[0.0000, 0.0000, 0.0000], [0.2717, 0.4731, 0.6038], [0.4018, 0.7914, 0.1816], [0.6103, 0.2119, 0.8013], [0.8195, 0.6157, 0.4069], [0.1765, 0.3244, 0.4748], [0.2527, 0.5027, 0.7326], [0.3440, 0.6862, 0.0297], [0.4601, 0.8998, 0.3332], [0.5566, 0.1050, 0.6381], [0.8715, 0.7198, 0.5684], [0.9651, 0.9248, 0.8750]]
}


Record 3
{
  "formula": "CuSbO4",
  "functional": "PBE-GGA",
  "state": "relaxed",
  "space_group": "P2_1/c (14)",
  "formation_enthalpy_0k_kj_per_mol_atoms": -113.2,
  "vol_a3_per_cell": 684.2,
  "lattice": [[6.8565, 0.0000, 0.0000], [0.0000, 9.0454, 0.0000], [-0.2582, 0.0000, 11.0312]],
  "species": ["Cu", "Cu", "Cu", "Cu", "Cu", "Cu", "Cu", "Cu", "Sb", "Sb", "Sb", "Sb", "Sb", "Sb", "Sb", "Sb", "O", "O", "O", "O", "O", "O", "O", "O", "O", "O", "O", "O", "O", "O", "O", "O", "O", "O", "O", "O", "O", "O", "O", "O", "O", "O", "O", "O", "O", "O", "O", "O"],
  "frac_coords": [[0.1186, 0.0379, 0.3734], [0.1186, 0.4621, 0.8734], [0.3385, 0.6152, 0.3910], [0.3385, 0.8848, 0.8910], [0.6615, 0.1152, 0.1090], [0.6615, 0.3848, 0.6090], [0.8814, 0.5379, 0.1266], [0.8814, 0.9621, 0.6266], [0.0784, 0.6235, 0.6053], [0.0784, 0.8765, 0.1053], [0.3907, 0.0786, 0.6197], [0.3907, 0.4214, 0.1197], [0.6093, 0.5786, 0.8803], [0.6093, 0.9214, 0.3803], [0.9216, 0.1235, 0.8947], [0.9216, 0.3765, 0.3947], [0.0702, 0.5695, 0.4114], [0.0702, 0.9305, 0.9114], [0.1309, 0.2397, 0.4029], [0.1309, 0.2603, 0.9029], [0.1393, 0.5152, 0.0846], [0.1393, 0.9848, 0.5846], [0.1610, 0.6254, 0.7762], [0.1610, 0.8746, 0.2762], [0.3282, 0.6905, 0.5449], [0.3282, 0.8095, 0.0449], [0.3882, 0.0560, 0.4225], [0.3882, 0.4440, 0.9225], [0.3896, 0.0402, 0.7914], [0.3896, 0.4598, 0.2914], [0.4239, 0.2093, 0.1349], [0.4239, 0.2907, 0.6349], [0.5761, 0.7093, 0.3651], [0.5761, 0.7907, 0.8651], [0.6104, 0.5402, 0.7086], [0.6104, 0.9598, 0.2086], [0.6118, 0.5560, 0.0775], [0.6118, 0.9440, 0.5775], [0.6718, 0.1905, 0.9551], [0.6718, 0.3095, 0.4551], [0.8390, 0.1254, 0.7238], [0.8390, 0.3746, 0.2238], [0.8607, 0.0152, 0.4154], [0.8607, 0.4848, 0.9154], [0.8691, 0.7397, 0.0971], [0.8691, 0.7603, 0.5971], [0.9298, 0.0695, 0.0886], [0.9298, 0.4305, 0.5886]]
}


Record 4
{
  "formula": "Mg14MnAl",
  "functional": "PBE-GGA",
  "state": "relaxed",
  "space_group": "P-6m2 (187)",
  "e_above_lowest_polymorph_ev_per_atom": 0.004,
  "formation_enthalpy_0k_kj_per_mol_atoms": 5.1,
  "vol_a3_per_cell": 347.4,
  "lattice": [[6.2515, 0.0000, 0.0000], [-3.1257, 5.4140, 0.0000], [0.0000, 0.0000, 10.2643]],
  "species": ["Mg", "Mg", "Mg", "Mg", "Mg", "Mg", "Mg", "Mg", "Mg", "Mg", "Mg", "Mg", "Mg", "Mg", "Mn", "Al"],
  "frac_coords": [[0.0000, 0.0000, 0.2496], [0.0000, 0.0000, 0.7504], [0.0062, 0.5031, 0.2488], [0.0062, 0.5031, 0.7512], [0.3324, 0.1662, 0.5000], [0.3338, 0.1669, 0.0000], [0.4969, 0.5031, 0.2488], [0.4969, 0.5031, 0.7512], [0.4969, 0.9938, 0.2488], [0.4969, 0.9938, 0.7512], [0.8331, 0.1669, 0.0000], [0.8331, 0.6662, 0.0000], [0.8338, 0.1662, 0.5000], [0.8338, 0.6676, 0.5000], [0.3333, 0.6667, 0.0000], [0.3333, 0.6667, 0.5000]]
}


Record 5
{
  "formula": "ZrBr",
  "functional": "PBE-GGA",
  "state": "relaxed",
  "space_group": "R-3m (166)",
  "e_above_lowest_polymorph_ev_per_atom": 0.000,
  "formation_enthalpy_0k_kj_per_mol_atoms": -122.6,
  "vol_a3_per_cell": 314.3,
  "lattice": [[3.5348, 0.0000, 0.0000], [-1.7674, 3.0612, 0.0000], [0.0000, 0.0000, 29.0434]],
  "species": ["Zr", "Zr", "Zr", "Zr", "Zr", "Zr", "Br", "Br", "Br", "Br", "Br", "Br"],
  "frac_coords": [[0.0000, 0.0000, 0.2074], [0.0000, 0.0000, 0.7926], [0.3333, 0.6667, 0.4593], [0.3333, 0.6667, 0.8740], [0.6667, 0.3333, 0.1260], [0.6667, 0.3333, 0.5407], [0.0000, 0.0000, 0.3938], [0.0000, 0.0000, 0.6062], [0.3333, 0.6667, 0.0605], [0.3333, 0.6667, 0.2728], [0.6667, 0.3333, 0.7272], [0.6667, 0.3333, 0.9395]]
}


What did the second record say?
{
  "formula": "MgNbBi3O7",
  "functional": "PBE-GGA",
  "state": "relaxed",
  "space_group": "P1 (1)",
  "e_above_lowest_polymorph_ev_per_atom": 0.005,
  "formation_enthalpy_0k_kj_per_mol_atoms": -197.0,
  "vol_a3_per_cell": 184.6,
  "lattice": [[3.6533, 0.0000, 0.0000], [-1.7913, 3.1891, 0.0000], [-0.0014, -2.0942, 15.8461]],
  "species": ["Mg", "Nb", "Bi", "Bi", "Bi", "O", "O", "O", "O", "O", "O", "O"],
  "frac_coords": [[0.0000, 0.0000, 0.0000], [0.2717, 0.4731, 0.6038], [0.4018, 0.7914, 0.1816], [0.6103, 0.2119, 0.8013], [0.8195, 0.6157, 0.4069], [0.1765, 0.3244, 0.4748], [0.2527, 0.5027, 0.7326], [0.3440, 0.6862, 0.0297], [0.4601, 0.8998, 0.3332], [0.5566, 0.1050, 0.6381], [0.8715, 0.7198, 0.5684], [0.9651, 0.9248, 0.8750]]
}